# Li4MnCo2O7

A geometry-optimized Li4MnCo2O7 structure (PBE with a Hubbard U, the Materials Project database).

Computed properties:
Excess energy over the best structure of this formula in the dataset = 0.061 eV per atom
Mass density = 4.1 g cm⁻³
Volume = 9.05 A^3/atom
Energy of formation from the pure elements = -1.823 eV per atom

The structure in POSCAR format:
```
Li4MnCo2O7
1.0
-1.968 0.597 -2.065
-8.794 -2.234 5.678
-1.574 7.374 3.633
Li O Co Mn
8 14 4 2
direct
0.427 0.146 0.215 Li
0.711 0.577 0.356 Li
0.714 0.572 0.854 Li
0.149 0.702 0.058 Li
0.576 0.848 0.781 Li
0.004 0.992 0.503 Li
0.281 0.439 0.654 Li
0.854 0.293 0.928 Li
0.852 0.296 0.195 O
0.710 0.581 0.600 O
0.136 0.727 0.324 O
0.563 0.874 0.031 O
0.142 0.717 0.808 O
0.994 0.012 0.766 O
0.863 0.274 0.664 O
0.005 0.990 0.236 O
0.572 0.855 0.530 O
0.438 0.125 0.975 O
0.290 0.420 0.907 O
0.420 0.159 0.455 O
0.719 0.562 0.114 O
0.295 0.410 0.398 O
0.146 0.708 0.595 Co
0.281 0.437 0.116 Co
0.428 0.144 0.714 Co
0.575 0.851 0.298 Co
0.001 0.999 0.002 Mn
0.856 0.288 0.424 Mn
```


# Li4MnCo2O7

A geometry-optimized Li4MnCo2O7 structure (PBE with a Hubbard U, the Materials Project database).

Computed properties:
Excess energy over the best structure of this formula in the dataset = 0.149 eV per atom
Mass density = 4.1 g cm⁻³
Volume = 8.99 A^3/atom
Energy of formation from the pure elements = -1.735 eV per atom

The structure in POSCAR format:
```
Li4MnCo2O7
1.0
1.954 -4.366 -6.142
3.891 -2.183 -6.380
9.616 -8.387 1.325
Co O Mn Li
4 14 2 8
direct
0.714 0.714 0.428 Co
0.286 0.286 0.572 Co
0.857 0.857 0.715 Co
0.143 0.143 0.285 Co
0.313 0.313 0.398 O
0.164 0.164 0.114 O
0.455 0.455 0.691 O
0.606 0.606 0.979 O
0.976 0.976 0.176 O
0.687 0.687 0.602 O
0.113 0.113 0.459 O
0.836 0.836 0.886 O
0.887 0.887 0.541 O
0.024 0.024 0.824 O
0.257 0.257 0.746 O
0.545 0.545 0.309 O
0.394 0.394 0.021 O
0.743 0.743 0.254 O
0.570 0.570 0.136 Mn
0.430 0.430 0.864 Mn
0.208 0.208 0.932 Li
0.792 0.792 0.068 Li
0.071 0.071 0.645 Li
0.360 0.360 0.206 Li
0.640 0.640 0.794 Li
0.500 0.500 0.500 Li
0.000 0.000 0.000 Li
0.929 0.929 0.355 Li
```


# Li7Mn2Co3O12

A geometry-optimized Li7Mn2Co3O12 structure (PBE with a Hubbard U, the Materials Project database).

Computed properties:
Excess energy over the best structure of this formula in the dataset = 0.035 eV per atom
Mass density = 4.1 g cm⁻³
Volume = 8.85 A^3/atom
Energy of formation from the pure elements = -1.899 eV per atom

The structure in POSCAR format:
```
Li7Mn2Co3O12
1.0
5.169 0.000 0.000
1.919 5.592 0.000
1.906 1.158 7.345
Li O Co Mn
7 12 3 2
direct
0.504 0.330 0.172 Li
0.497 0.168 0.831 Li
0.999 0.165 0.335 Li
0.497 0.840 0.174 Li
0.507 0.007 0.502 Li
0.497 0.663 0.827 Li
0.503 0.493 0.497 Li
0.233 0.351 0.423 O
0.208 0.512 0.756 O
0.770 0.986 0.240 O
0.774 0.147 0.594 O
0.754 0.658 0.567 O
0.799 0.833 0.918 O
0.790 0.514 0.239 O
0.238 0.691 0.094 O
0.215 0.175 0.071 O
0.764 0.316 0.914 O
0.210 0.815 0.424 O
0.241 0.002 0.762 O
0.996 0.324 0.658 Co
0.001 0.501 0.001 Co
0.000 0.834 0.665 Co
0.997 0.669 0.334 Mn
0.006 0.007 0.001 Mn
```


# Li4MnCo2O7

A geometry-optimized Li4MnCo2O7 structure (PBE with a Hubbard U, the Materials Project database).

Computed properties:
Excess energy over the best structure of this formula in the dataset = 0.054 eV per atom
Mass density = 4.1 g cm⁻³
Volume = 8.98 A^3/atom
Energy of formation from the pure elements = -1.830 eV per atom

The structure in POSCAR format:
```
Li4MnCo2O7
1.0
-2.807 -0.161 -4.227
-3.008 -2.912 2.958
-2.404 9.173 3.616
Mn O Li Co
2 14 8 4
direct
0.924 0.713 0.926 Mn
0.076 0.287 0.074 Mn
0.748 0.374 0.962 O
0.889 0.939 0.099 O
0.464 0.218 0.687 O
0.298 0.622 0.540 O
0.987 0.524 0.762 O
0.252 0.626 0.038 O
0.148 0.065 0.378 O
0.410 0.219 0.168 O
0.702 0.378 0.460 O
0.013 0.476 0.238 O
0.852 0.935 0.622 O
0.111 0.061 0.901 O
0.536 0.782 0.313 O
0.590 0.781 0.832 O
0.218 0.859 0.706 Li
0.500 0.000 0.000 Li
0.067 0.273 0.565 Li
0.640 0.569 0.152 Li
0.782 0.141 0.294 Li
0.500 0.000 0.500 Li
0.933 0.727 0.435 Li
0.360 0.431 0.848 Li
0.783 0.141 0.780 Co
0.367 0.421 0.362 Co
0.217 0.859 0.220 Co
0.633 0.579 0.638 Co
```


# Li7Mn2Co3O12

A geometry-optimized Li7Mn2Co3O12 structure (PBE with a Hubbard U, the Materials Project database).

Computed properties:
Excess energy over the best structure of this formula in the dataset = 0.042 eV per atom
Mass density = 4.1 g cm⁻³
Volume = 8.91 A^3/atom
Energy of formation from the pure elements = -1.892 eV per atom

The structure in POSCAR format:
```
Li7Mn2Co3O12
1.0
-2.249 -2.469 3.713
3.508 3.451 1.139
-6.064 7.710 -1.116
O Li Mn Co
12 7 2 3
direct
0.978 0.677 0.887 O
0.100 0.005 0.392 O
0.454 0.636 0.389 O
0.538 0.364 0.609 O
0.022 0.323 0.112 O
0.901 0.003 0.610 O
0.637 0.000 0.882 O
0.181 0.636 0.610 O
0.322 0.348 0.879 O
0.363 0.000 0.117 O
0.679 0.652 0.122 O
0.822 0.360 0.390 O
0.917 0.329 0.744 Li
0.575 0.668 0.746 Li
0.744 0.004 0.253 Li
0.501 0.999 0.500 Li
0.257 0.004 0.747 Li
0.417 0.331 0.253 Li
0.090 0.663 0.256 Li
0.999 0.999 0.000 Mn
0.832 0.667 0.500 Mn
0.169 0.331 0.500 Co
0.339 0.666 0.001 Co
0.662 0.335 0.999 Co
```


# Li4MnCo2O7

A geometry-optimized Li4MnCo2O7 structure (PBE with a Hubbard U, the Materials Project database).

Computed properties:
Excess energy over the best structure of this formula in the dataset = 0.197 eV per atom
Mass density = 4.1 g cm⁻³
Volume = 9.05 A^3/atom
Energy of formation from the pure elements = -1.687 eV per atom

The structure in POSCAR format:
```
Li4MnCo2O7
1.0
-1.866 -0.787 2.190
-3.837 -2.397 -2.375
7.191 -15.635 1.056
O Co Mn Li
14 4 2 8
direct
0.212 0.575 0.190 O
0.925 0.146 0.099 O
0.810 0.405 0.818 O
0.065 0.877 0.895 O
0.475 0.972 0.253 O
0.389 0.295 0.470 O
0.390 0.250 0.964 O
0.601 0.757 0.031 O
0.911 0.163 0.612 O
0.531 0.020 0.751 O
0.190 0.551 0.677 O
0.799 0.448 0.324 O
0.661 0.697 0.533 O
0.050 0.838 0.386 O
0.859 0.287 0.714 Co
0.440 0.136 0.855 Co
0.287 0.427 0.572 Co
0.129 0.717 0.279 Co
0.715 0.573 0.427 Mn
0.998 0.002 0.004 Mn
0.700 0.583 0.927 Li
0.314 0.418 0.079 Li
0.861 0.275 0.213 Li
0.573 0.860 0.642 Li
0.551 0.875 0.143 Li
0.000 0.001 0.501 Li
0.143 0.711 0.785 Li
0.422 0.140 0.355 Li
```


# Li3MnCoO5

A geometry-optimized Li3MnCoO5 structure (PBE with a Hubbard U, the Materials Project database).

Computed properties:
Excess energy over the best structure of this formula in the dataset = 0.008 eV per atom
Mass density = 4.0 g cm⁻³
Volume = 8.94 A^3/atom
Energy of formation from the pure elements = -1.952 eV per atom

The structure in POSCAR format:
```
Li3MnCoO5
1.0
1.460 4.900 0.000
-1.460 4.900 0.000
0.000 2.536 12.496
O Li Mn Co
10 6 2 2
direct
0.152 0.152 0.936 O
0.265 0.265 0.252 O
0.529 0.529 0.159 O
0.939 0.939 0.348 O
0.735 0.735 0.748 O
0.061 0.061 0.652 O
0.471 0.471 0.841 O
0.659 0.659 0.451 O
0.341 0.341 0.549 O
0.848 0.848 0.064 O
0.500 0.500 0.000 Li
0.202 0.202 0.088 Li
0.000 0.000 0.500 Li
0.403 0.403 0.698 Li
0.597 0.597 0.302 Li
0.798 0.798 0.912 Li
0.899 0.899 0.195 Mn
0.101 0.101 0.805 Mn
0.302 0.302 0.402 Co
0.698 0.698 0.598 Co
```


# Li5MnCo2O8

A geometry-optimized Li5MnCo2O8 structure (PBE with a Hubbard U, the Materials Project database).

Computed properties:
Excess energy over the best structure of this formula in the dataset = 0.067 eV per atom
Mass density = 4.0 g cm⁻³
Volume = 8.77 A^3/atom
Energy of formation from the pure elements = -1.819 eV per atom

The structure in POSCAR format:
```
Li5MnCo2O8
1.0
2.910 0.000 0.000
0.000 5.079 0.000
0.000 1.906 9.491
O Li Mn Co
8 5 1 2
direct
0.500 0.895 0.887 O
0.000 0.109 0.609 O
0.000 0.643 0.118 O
0.500 0.332 0.388 O
0.500 0.105 0.113 O
0.000 0.891 0.391 O
0.500 0.668 0.612 O
0.000 0.357 0.882 O
0.500 0.262 0.742 Li
0.000 0.500 0.500 Li
0.000 0.252 0.260 Li
0.000 0.748 0.740 Li
0.500 0.738 0.258 Li
0.000 0.000 0.000 Mn
0.500 0.500 0.000 Co
0.500 0.000 0.500 Co
```


# Li4MnCo3O8

A geometry-optimized Li4MnCo3O8 structure (PBE with a Hubbard U, the Materials Project database).

Computed properties:
Excess energy over the best structure of this formula in the dataset = 0.119 eV per atom
Mass density = 4.4 g cm⁻³
Volume = 9.07 A^3/atom
Energy of formation from the pure elements = -1.677 eV per atom

The structure in POSCAR format:
```
Li4MnCo3O8
1.0
2.963 5.121 0.000
-2.963 5.121 0.000
0.000 1.617 4.782
O Li Mn Co
8 4 1 3
direct
0.114 0.114 0.751 O
0.851 0.377 0.264 O
0.149 0.623 0.736 O
0.377 0.851 0.264 O
0.615 0.615 0.741 O
0.886 0.886 0.249 O
0.385 0.385 0.259 O
0.623 0.149 0.736 O
0.000 0.500 0.500 Li
0.749 0.749 0.004 Li
0.500 0.000 0.500 Li
0.251 0.251 0.996 Li
0.500 0.500 0.500 Mn
0.247 0.753 0.000 Co
0.753 0.247 0.000 Co
0.000 0.000 0.500 Co
```


# Li7Mn2Co3O12

A geometry-optimized Li7Mn2Co3O12 structure (PBE with a Hubbard U, the Materials Project database).

Computed properties:
Excess energy over the best structure of this formula in the dataset = 0.069 eV per atom
Mass density = 4.0 g cm⁻³
Volume = 9.13 A^3/atom
Energy of formation from the pure elements = -1.864 eV per atom

The structure in POSCAR format:
```
Li7Mn2Co3O12
1.0
1.471 6.373 0.000
-1.471 6.373 0.000
0.000 2.958 11.692
O Mn Li Co
12 2 7 3
direct
0.168 0.168 0.229 O
0.828 0.828 0.054 O
0.508 0.508 0.869 O
0.822 0.822 0.292 O
0.833 0.833 0.556 O
0.167 0.167 0.444 O
0.508 0.508 0.384 O
0.178 0.178 0.708 O
0.492 0.492 0.616 O
0.832 0.832 0.771 O
0.492 0.492 0.131 O
0.172 0.172 0.946 O
0.331 0.331 0.667 Mn
0.669 0.669 0.333 Mn
0.000 0.000 0.000 Li
0.000 0.000 0.241 Li
0.337 0.337 0.405 Li
0.663 0.663 0.595 Li
0.000 0.000 0.759 Li
0.664 0.664 0.068 Li
0.336 0.336 0.932 Li
0.348 0.348 0.155 Co
0.652 0.652 0.845 Co
0.000 0.000 0.500 Co
```


# Li4MnCo2O7

A geometry-optimized Li4MnCo2O7 structure (PBE with a Hubbard U, the Materials Project database).

Computed properties:
Excess energy over the best structure of this formula in the dataset = 0.042 eV per atom
Mass density = 4.1 g cm⁻³
Volume = 9.00 A^3/atom
Energy of formation from the pure elements = -1.842 eV per atom

The structure in POSCAR format:
```
Li4MnCo2O7
1.0
-1.316 0.413 2.604
-4.484 -1.392 -2.015
2.332 -15.827 5.054
O Li Co Mn
14 8 4 2
direct
0.394 0.462 0.220 O
0.963 0.300 0.062 O
0.152 0.014 0.786 O
0.248 0.726 0.501 O
0.759 0.279 0.496 O
0.895 0.977 0.220 O
0.457 0.844 0.061 O
0.620 0.552 0.786 O
0.987 0.703 0.925 O
0.813 0.575 0.367 O
0.512 0.141 0.931 O
0.183 0.414 0.643 O
0.322 0.134 0.361 O
0.684 0.881 0.642 O
0.429 0.152 0.141 Li
0.077 0.360 0.857 Li
0.647 0.214 0.714 Li
0.211 0.069 0.573 Li
0.494 0.492 0.007 Li
0.795 0.931 0.425 Li
0.372 0.798 0.278 Li
0.923 0.633 0.148 Li
0.150 0.713 0.717 Co
0.714 0.585 0.575 Co
0.870 0.272 0.274 Co
0.565 0.849 0.857 Co
0.978 0.004 0.003 Mn
0.288 0.426 0.428 Mn
```


# Li7Mn4CoO12

A geometry-optimized Li7Mn4CoO12 structure (PBE with a Hubbard U, the Materials Project database).

Computed properties:
Excess energy over the best structure of this formula in the dataset = 0.002 eV per atom
Mass density = 4.0 g cm⁻³
Volume = 9.02 A^3/atom
Energy of formation from the pure elements = -2.082 eV per atom

The structure in POSCAR format:
```
Li7Mn4CoO12
1.0
4.937 -0.104 1.116
1.666 7.498 1.194
-4.322 0.380 10.699
O Li Mn Co
24 14 8 2
direct
0.948 0.915 0.151 O
0.241 0.230 0.496 O
0.981 0.260 0.260 O
0.099 0.086 0.845 O
0.676 0.940 0.919 O
0.820 0.090 0.565 O
0.191 0.409 0.906 O
0.229 0.770 0.993 O
0.163 0.936 0.417 O
0.503 0.731 0.250 O
0.745 0.231 0.995 O
0.991 0.726 0.748 O
0.319 0.091 0.065 O
0.476 0.258 0.760 O
0.058 0.580 0.333 O
0.685 0.407 0.407 O
0.719 0.752 0.516 O
0.437 0.897 0.674 O
0.922 0.435 0.672 O
0.348 0.576 0.602 O
0.568 0.581 0.821 O
0.847 0.577 0.101 O
0.426 0.436 0.170 O
0.609 0.086 0.333 O
0.586 0.832 0.082 Li
0.403 0.672 0.416 Li
0.583 0.333 0.580 Li
0.675 0.157 0.167 Li
0.500 0.513 0.003 Li
0.167 0.154 0.664 Li
0.992 0.510 0.499 Li
0.084 0.334 0.087 Li
0.753 0.992 0.749 Li
0.333 0.833 0.833 Li
0.833 0.833 0.333 Li
0.264 0.995 0.250 Li
0.081 0.834 0.584 Li
0.913 0.675 0.918 Li
0.751 0.504 0.252 Mn
0.421 0.165 0.917 Mn
0.915 0.163 0.415 Mn
0.008 0.996 0.998 Mn
0.658 0.670 0.668 Mn
0.246 0.502 0.749 Mn
0.171 0.670 0.165 Mn
0.495 0.997 0.501 Mn
0.833 0.333 0.833 Co
0.333 0.333 0.333 Co
```


# LiMn2Co2O8

A geometry-optimized LiMn2Co2O8 structure (PBE with a Hubbard U, the Materials Project database).

Computed properties:
Excess energy over the best structure of this formula in the dataset = 0.000 eV per atom
Mass density = 4.5 g cm⁻³
Volume = 10.22 A^3/atom
Energy of formation from the pure elements = -1.604 eV per atom

The structure in POSCAR format:
```
LiMn2Co2O8
1.0
3.081 -0.633 -4.734
5.070 -2.537 0.399
0.620 -5.172 -2.159
O Li Co Mn
8 1 2 2
direct
0.209 0.764 0.758 O
0.234 0.234 0.244 O
0.791 0.236 0.242 O
0.236 0.791 0.242 O
0.760 0.760 0.213 O
0.240 0.240 0.787 O
0.764 0.209 0.758 O
0.766 0.766 0.756 O
0.500 0.500 0.500 Li
0.000 0.000 0.500 Co
0.000 0.000 0.000 Co
0.500 0.000 0.000 Mn
0.000 0.500 0.000 Mn
```